# Nd2IrPd

A relaxed Nd2IrPd crystal (PBE-GGA, the Materials Project).

The structure in CIF format:
```
data_Nd2IrPd
_cell_length_a 7.161
_cell_length_b 7.161
_cell_length_c 7.161
_cell_angle_alpha 90.00
_cell_angle_beta 90.00
_cell_angle_gamma 90.00
_symmetry_space_group_name_H-M 'F m -3 m'
_symmetry_Int_Tables_number 225
_symmetry_space_group_name_Hall '-F 4 2 3'
loop_
_atom_site_label
_atom_site_fract_x
_atom_site_fract_y
_atom_site_fract_z
Nd1 0.250 0.250 0.250
Ir1 0.000 0.000 0.000
Pd1 0.000 0.000 0.500
```

Formation enthalpy at 0 K = -712 meV per atom
Size of the total moment = 0.019 μB per formula unit
Volume = 23.0 Å³ per atom

***

# HoNbRu2

A relaxed HoNbRu2 crystal (PBE-GGA, the Materials Project).

The structure in CIF format:
```
data_HoNbRu2
_cell_length_a 6.546
_cell_length_b 6.546
_cell_length_c 6.546
_cell_angle_alpha 90.00
_cell_angle_beta 90.00
_cell_angle_gamma 90.00
_symmetry_space_group_name_H-M 'F m -3 m'
_symmetry_Int_Tables_number 225
_symmetry_space_group_name_Hall '-F 4 2 3'
loop_
_atom_site_label
_atom_site_fract_x
_atom_site_fract_y
_atom_site_fract_z
Ho1 0.000 0.000 0.000
Nb1 0.000 0.000 0.500
Ru1 0.250 0.250 0.250
```

Formation enthalpy at 0 K = -324 meV per atom
Volume = 17.5 Å³ per atom

***

Going through the records in order, we get calculated density values of 10.62, 10.89 g cm⁻³.